NaZr3TaP6O24: optimized geometry, GGA-PBE.

Summary:
For the energy relative to the elements, the calculation gives -3.1412 eV/atom. The uncorrected energy comes out at -8.100 eV/atom.

a b c (Å): 8.8737 8.8737 23.1124
angles (deg): 90.00 90.00 120.00
Space group P3 (No. 143)
Unique sites:
Na (0.0000, 0.0000, 0.0000) (multiplicity 1)
Na (0.0000, 0.0000, 0.4988) (multiplicity 1)
Na (0.3333, 0.6667, 0.1639) (multiplicity 1)
Zr (0.0000, 0.0000, 0.1460) (multiplicity 1)
Zr (0.0000, 0.0000, 0.3522) (multiplicity 1)
Zr (0.0000, 0.0000, 0.6466) (multiplicity 1)
Zr (0.0000, 0.0000, 0.8513) (multiplicity 1)
Zr (0.3333, 0.6667, 0.0202) (multiplicity 1)
Zr (0.3333, 0.6667, 0.5252) (multiplicity 1)
Zr (0.6667, 0.3333, 0.1883) (multiplicity 1)
Zr (0.6667, 0.3333, 0.4733) (multiplicity 1)
Zr (0.6667, 0.3333, 0.9747) (multiplicity 1)
Ta (0.3333, 0.6667, 0.3133) (multiplicity 1)
Ta (0.3333, 0.6667, 0.8111) (multiplicity 1)
Ta (0.6667, 0.3333, 0.6868) (multiplicity 1)
P (0.9999, 0.2932, 0.7490) (multiplicity 3)
P (0.0049, 0.7108, 0.2498) (multiplicity 3)
P (0.0488, 0.6684, 0.9147) (multiplicity 3)
P (0.0505, 0.3814, 0.4163) (multiplicity 3)
P (0.3779, 0.0453, 0.0822) (multiplicity 3)
P (0.3822, 0.3307, 0.5825) (multiplicity 3)
O (0.0294, 0.2000, 0.4081) (multiplicity 3)
O (0.0294, 0.8301, 0.9065) (multiplicity 3)
O (0.0350, 0.2128, 0.6958) (multiplicity 3)
O (0.0406, 0.8262, 0.1960) (multiplicity 3)
O (0.1274, 0.6334, 0.5768) (multiplicity 3)
O (0.1379, 0.4948, 0.0766) (multiplicity 3)
O (0.1432, 0.4953, 0.3616) (multiplicity 3)
O (0.1438, 0.6484, 0.8609) (multiplicity 3)
O (0.1583, 0.4758, 0.7618) (multiplicity 3)
O (0.1611, 0.6982, 0.9685) (multiplicity 3)
O (0.1631, 0.4661, 0.4696) (multiplicity 3)
O (0.1690, 0.6907, 0.2599) (multiplicity 3)
O (0.1946, 0.0245, 0.0886) (multiplicity 3)
O (0.2001, 0.1699, 0.5912) (multiplicity 3)
O (0.2036, 0.1823, 0.3034) (multiplicity 3)
O (0.2129, 0.0350, 0.8023) (multiplicity 3)
O (0.4627, 0.1551, 0.0278) (multiplicity 3)
O (0.4653, 0.3020, 0.5289) (multiplicity 3)
O (0.4695, 0.3180, 0.2410) (multiplicity 3)
O (0.4760, 0.1584, 0.7362) (multiplicity 3)
O (0.4874, 0.1291, 0.1366) (multiplicity 3)
O (0.4947, 0.1278, 0.4216) (multiplicity 3)
O (0.4948, 0.3658, 0.9209) (multiplicity 3)
O (0.4955, 0.3515, 0.6370) (multiplicity 3)